[1]
Material: CaCuP4Ru2O14
Method: DFT, PBE
State: optimized geometry

The structure in POSCAR format:
```
CaCuP4Ru2O14
1.0
-3.443 -1.038 -3.493
-3.574 2.449 5.189
1.546 7.967 -3.103
Ca Cu P Ru O
1 1 4 2 14
Direct
0.060 0.129 0.364
0.972 0.824 0.619
0.402 0.756 0.809
0.598 0.283 0.169
0.990 0.664 0.271
0.014 0.363 0.724
0.500 0.510 0.495
0.999 0.017 0.987
0.126 0.851 0.186
0.872 0.187 0.817
0.489 0.760 0.641
0.536 0.262 0.343
0.231 0.528 0.840
0.758 0.519 0.152
0.193 0.895 0.815
0.800 0.148 0.147
0.172 0.530 0.333
0.814 0.478 0.654
0.634 0.804 0.934
0.349 0.245 0.055
0.191 0.292 0.601
0.827 0.744 0.401
```

## Properties
Density in g/cm³: 3.82
Formation energy from the elements in eV per atom: -2.195
Symmetry: P1 (1)
Energy above the lowest structure with this stoichiometry in meV/atom: 0

***

[2]
Material: TiNCl
Method: DFT, PBE
State: optimized geometry

The structure in POSCAR format:
```
TiNCl
1.0
3.275 0.000 0.000
0.000 3.967 0.000
0.000 0.000 8.402
Ti N Cl
2 2 2
Direct
0.500 0.000 0.092
0.000 0.500 0.908
0.000 0.000 0.955
0.500 0.500 0.045
0.500 0.500 0.689
0.000 0.000 0.311
```

## Properties
Density in g/cm³: 2.96
Formation energy from the elements in eV per atom: -1.739
Symmetry: Pmmn (59)

***

[3]
Material: Tb5CoSb2
Method: DFT, PBE
State: optimized geometry

The structure in POSCAR format:
```
Tb5CoSb2
1.0
7.917 0.000 0.000
0.000 8.809 0.000
0.000 0.000 12.243
Tb Co Sb
20 4 8
Direct
0.155 0.750 0.204
0.655 0.250 0.296
0.845 0.250 0.796
0.345 0.750 0.704
0.454 0.750 0.998
0.954 0.250 0.502
0.546 0.250 0.002
0.046 0.750 0.498
0.622 0.750 0.305
0.122 0.250 0.195
0.378 0.250 0.695
0.878 0.750 0.805
0.822 0.963 0.065
0.322 0.037 0.435
0.178 0.463 0.935
0.678 0.537 0.565
0.178 0.037 0.935
0.678 0.963 0.565
0.822 0.537 0.065
0.322 0.463 0.435
0.430 0.750 0.489
0.930 0.250 0.011
0.570 0.250 0.511
0.070 0.750 0.989
0.928 0.992 0.327
0.428 0.008 0.173
0.072 0.492 0.673
0.572 0.508 0.827
0.072 0.008 0.673
0.572 0.992 0.827
0.928 0.508 0.327
0.428 0.492 0.173
```

## Properties
Density in g/cm³: 8.53
Formation energy from the elements in eV per atom: -0.756
Symmetry: Pnma (62)

***

[4]
Material: TiAlIr2
Method: DFT, PBE
State: optimized geometry

The structure in POSCAR format:
```
TiAlIr2
1.0
0.000 3.077 3.077
3.077 0.000 3.077
3.077 3.077 0.000
Ti Al Ir
1 1 2
Direct
0.000 0.000 0.000
0.500 0.500 0.500
0.750 0.750 0.750
0.250 0.250 0.250
```

## Properties
Density in g/cm³: 13.08
Formation energy from the elements in eV per atom: -0.908
Symmetry: Fm-3m (225)

***

[5]
Material: Na3YZn3S6O24
Method: DFT, PBE
State: optimized geometry

The structure in POSCAR format:
```
Na3YZn3S6O24
1.0
-5.158 -0.950 7.182
8.836 -0.646 0.757
1.337 22.684 3.941
Na Y Zn S O
9 3 9 18 72
Direct
0.634 0.999 0.249
0.366 0.365 0.248
0.029 0.697 0.587
0.999 0.011 0.499
0.000 0.999 0.998
0.666 0.333 0.828
0.681 0.347 0.332
0.320 0.665 0.160
0.346 0.665 0.665
0.667 0.333 0.983
0.663 0.329 0.481
0.333 0.667 0.812
0.000 0.996 0.350
0.000 0.001 0.848
0.000 0.006 0.654
0.000 0.996 0.149
0.663 0.329 0.685
0.674 0.340 0.175
0.333 0.667 0.015
0.341 0.665 0.514
0.326 0.666 0.321
0.293 0.999 0.250
0.708 0.706 0.251
0.000 0.293 0.250
0.295 0.285 0.748
0.990 0.705 0.747
0.715 0.010 0.748
0.967 0.333 0.585
0.365 0.032 0.586
0.666 0.634 0.586
0.972 0.637 0.086
0.666 0.028 0.088
0.362 0.334 0.088
0.635 0.678 0.918
0.042 0.365 0.918
0.322 0.958 0.918
0.629 0.953 0.413
0.324 0.371 0.414
0.046 0.676 0.416
0.214 0.029 0.302
0.811 0.784 0.303
0.968 0.182 0.303
0.213 0.186 0.802
0.973 0.791 0.799
0.814 0.028 0.802
0.793 0.984 0.695
0.192 0.207 0.695
0.014 0.805 0.693
0.787 0.816 0.199
0.031 0.214 0.199
0.189 0.974 0.198
0.883 0.364 0.636
0.475 0.116 0.637
0.640 0.524 0.637
0.890 0.529 0.138
0.641 0.109 0.141
0.467 0.358 0.141
0.449 0.310 0.036
0.863 0.555 0.034
0.691 0.140 0.036
0.443 0.135 0.532
0.696 0.554 0.533
0.862 0.308 0.532
0.550 0.695 0.970
0.145 0.450 0.970
0.305 0.855 0.970
0.543 0.851 0.466
0.307 0.456 0.466
0.143 0.692 0.471
0.127 0.650 0.365
0.529 0.877 0.359
0.350 0.472 0.359
0.122 0.470 0.865
0.349 0.878 0.865
0.530 0.651 0.865
0.028 0.833 0.411
0.804 0.972 0.410
0.168 0.196 0.410
0.025 0.191 0.912
0.166 0.974 0.912
0.809 0.834 0.912
0.988 0.179 0.591
0.187 0.009 0.591
0.827 0.807 0.591
0.987 0.811 0.091
0.824 0.013 0.092
0.189 0.176 0.092
0.696 0.167 0.744
0.471 0.304 0.744
0.833 0.529 0.744
0.681 0.526 0.244
0.840 0.308 0.244
0.471 0.159 0.245
0.653 0.519 0.922
0.866 0.346 0.922
0.481 0.134 0.922
0.647 0.130 0.418
0.483 0.353 0.418
0.868 0.517 0.420
0.349 0.492 0.081
0.145 0.653 0.080
0.508 0.856 0.081
0.344 0.854 0.580
0.510 0.652 0.578
0.140 0.497 0.579
0.319 0.846 0.256
0.529 0.688 0.256
0.159 0.468 0.257
0.315 0.463 0.752
0.148 0.686 0.751
0.537 0.852 0.752
```

## Properties
Density in g/cm³: 2.93
Formation energy from the elements in eV per atom: -2.126
Symmetry: P1 (1)

***

[6]
Material: Y3ReB7
Method: DFT, PBE
State: optimized geometry

The structure in POSCAR format:
```
Y3ReB7
1.0
1.772 -7.915 0.000
1.772 7.915 0.000
0.000 0.000 9.371
Y Re B
6 2 14
Direct
0.895 0.105 0.940
0.105 0.895 0.060
0.758 0.242 0.250
0.242 0.758 0.750
0.895 0.105 0.560
0.105 0.895 0.440
0.053 0.947 0.750
0.947 0.053 0.250
0.542 0.458 0.250
0.458 0.542 0.750
0.521 0.479 0.905
0.479 0.521 0.095
0.479 0.521 0.405
0.521 0.479 0.595
0.632 0.368 0.849
0.368 0.632 0.151
0.727 0.273 0.966
0.273 0.727 0.034
0.273 0.727 0.466
0.727 0.273 0.534
0.632 0.368 0.651
0.368 0.632 0.349
```

## Properties
Density in g/cm³: 6.68
Formation energy from the elements in eV per atom: -0.606
Symmetry: Cmcm (63)
Energy above the lowest structure with this stoichiometry in meV/atom: 0

***

[7]
Material: Er2AlFe3
Method: DFT, PBE
State: optimized geometry

The structure in POSCAR format:
```
Er2AlFe3
1.0
-0.550 2.517 4.465
0.459 -2.561 4.451
4.113 0.808 3.001
Er Al Fe
2 1 3
Direct
0.622 0.622 0.622
0.378 0.378 0.378
0.000 0.000 0.000
0.000 0.500 0.000
0.500 0.000 0.000
0.000 0.000 0.500
```

## Properties
Density in g/cm³: 9.01
Formation energy from the elements in eV per atom: -0.213
Symmetry: R-3m (166)

***

[8]
Material: Li10Zn7P8S32
Method: DFT, PBE
State: optimized geometry

The structure in POSCAR format:
```
Li10Zn7P8S32
1.0
-5.724 4.896 -8.872
5.602 10.025 1.922
13.338 -5.251 -11.521
Li Zn P S
20 14 16 64
Direct
0.992 0.251 0.374
0.749 0.501 0.128
0.499 0.501 0.253
0.001 0.502 0.250
0.504 0.001 0.251
0.997 0.996 0.247
0.750 0.749 0.501
0.500 0.500 0.750
0.250 0.751 0.500
0.000 0.500 0.750
0.747 0.249 0.504
0.500 0.000 0.750
0.253 0.250 0.503
0.000 0.000 0.750
0.749 0.753 0.999
0.250 0.750 0.998
0.750 0.247 0.998
0.250 0.250 0.997
0.746 0.247 0.250
0.751 0.754 0.254
0.252 0.251 0.246
0.251 0.749 0.249
0.504 0.498 0.499
0.250 0.250 0.750
0.997 0.505 0.502
0.750 0.250 0.750
0.502 0.998 0.499
0.250 0.750 0.750
0.998 0.000 0.501
0.750 0.750 0.750
0.497 0.500 0.998
0.003 0.500 0.998
0.499 0.001 0.001
0.001 0.999 0.001
0.250 0.499 0.375
0.752 0.498 0.376
0.249 0.000 0.376
0.750 0.001 0.374
0.500 0.750 0.625
0.250 0.500 0.874
0.000 0.750 0.626
0.750 0.500 0.875
0.500 0.250 0.626
0.250 0.000 0.875
0.001 0.250 0.625
0.750 0.000 0.875
0.500 0.754 0.126
0.001 0.744 0.123
0.499 0.256 0.123
0.000 0.247 0.126
0.360 0.104 0.433
0.859 0.108 0.438
0.360 0.600 0.434
0.860 0.605 0.434
0.611 0.354 0.683
0.362 0.104 0.932
0.111 0.354 0.683
0.862 0.103 0.932
0.611 0.853 0.683
0.361 0.605 0.931
0.111 0.854 0.683
0.860 0.603 0.934
0.606 0.357 0.184
0.110 0.354 0.183
0.609 0.854 0.182
0.110 0.849 0.182
0.651 0.603 0.316
0.146 0.610 0.318
0.645 0.110 0.320
0.146 0.111 0.314
0.896 0.861 0.568
0.646 0.611 0.818
0.396 0.861 0.567
0.146 0.611 0.817
0.897 0.360 0.567
0.647 0.111 0.817
0.397 0.362 0.568
0.146 0.111 0.817
0.897 0.858 0.067
0.395 0.858 0.064
0.897 0.360 0.065
0.393 0.362 0.064
0.138 0.396 0.436
0.643 0.393 0.435
0.137 0.897 0.433
0.645 0.897 0.436
0.389 0.646 0.683
0.139 0.395 0.931
0.889 0.646 0.683
0.640 0.397 0.934
0.388 0.146 0.683
0.139 0.896 0.932
0.889 0.146 0.683
0.638 0.897 0.932
0.389 0.646 0.182
0.891 0.645 0.184
0.392 0.149 0.182
0.892 0.146 0.184
0.353 0.387 0.318
0.856 0.391 0.315
0.351 0.892 0.316
0.857 0.894 0.320
0.603 0.639 0.567
0.354 0.389 0.817
0.105 0.639 0.569
0.854 0.389 0.818
0.602 0.138 0.568
0.354 0.889 0.817
0.104 0.139 0.567
0.853 0.888 0.817
0.602 0.640 0.065
0.107 0.638 0.064
0.603 0.142 0.067
0.104 0.142 0.064
```

## Properties
Density in g/cm³: 2.40
Formation energy from the elements in eV per atom: -0.973
Symmetry: P1 (1)

***

[9]
Material: Na2AlHgCl6
Method: DFT, PBE
State: optimized geometry

The structure in POSCAR format:
```
Na2AlHgCl6
1.0
2.320 3.775 5.848
-4.813 2.246 5.062
-0.063 -3.118 6.641
Na Al Hg Cl
2 1 1 6
Direct
0.750 0.750 0.750
0.250 0.250 0.250
0.000 0.000 0.000
0.500 0.500 0.500
0.774 0.226 0.226
0.226 0.226 0.774
0.226 0.774 0.774
0.226 0.774 0.226
0.774 0.226 0.774
0.774 0.774 0.226
```

## Properties
Density in g/cm³: 2.89
Formation energy from the elements in eV per atom: -1.567
Symmetry: Fm-3m (225)

***

[10]
Material: MgTi2
Method: DFT, PBE
State: optimized geometry

The structure in POSCAR format:
```
MgTi2
1.0
2.639 4.455 0.000
-2.639 4.455 0.000
0.000 2.803 4.691
Mg Ti
2 4
Direct
0.090 0.910 0.250
0.910 0.090 0.750
0.250 0.417 0.758
0.583 0.750 0.742
0.417 0.250 0.258
0.750 0.583 0.242
```

## Properties
Density in g/cm³: 3.61
Formation energy from the elements in eV per atom: 0.149
Symmetry: C2/c (15)

***

[11]
Material: Ba3SrMg4F16
Method: DFT, PBE
State: optimized geometry

The structure in POSCAR format:
```
Ba3SrMg4F16
1.0
0.141 -0.643 -4.070
-8.355 -4.434 -1.677
-6.089 7.556 0.685
Ba Sr Mg F
3 1 4 16
Direct
0.926 0.423 0.276
0.427 0.922 0.776
0.177 0.472 0.827
0.682 0.978 0.341
0.912 0.174 0.997
0.400 0.685 0.485
0.156 0.761 0.073
0.657 0.258 0.572
0.534 0.630 0.698
0.052 0.107 0.210
0.291 0.545 0.127
0.789 0.043 0.622
0.750 0.276 0.776
0.246 0.782 0.274
0.996 0.975 0.966
0.497 0.476 0.469
0.402 0.179 0.984
0.892 0.691 0.475
0.651 0.768 0.070
0.150 0.270 0.571
0.813 0.383 0.009
0.300 0.897 0.496
0.062 0.742 0.865
0.564 0.237 0.365
```

## Properties
Density in g/cm³: 4.18
Formation energy from the elements in eV per atom: -3.991
Symmetry: Cm (8)

***

What did the sixth record say?
Material: Y3ReB7
Method: DFT, PBE
State: optimized geometry

The structure in POSCAR format:
```
Y3ReB7
1.0
1.772 -7.915 0.000
1.772 7.915 0.000
0.000 0.000 9.371
Y Re B
6 2 14
Direct
0.895 0.105 0.940
0.105 0.895 0.060
0.758 0.242 0.250
0.242 0.758 0.750
0.895 0.105 0.560
0.105 0.895 0.440
0.053 0.947 0.750
0.947 0.053 0.250
0.542 0.458 0.250
0.458 0.542 0.750
0.521 0.479 0.905
0.479 0.521 0.095
0.479 0.521 0.405
0.521 0.479 0.595
0.632 0.368 0.849
0.368 0.632 0.151
0.727 0.273 0.966
0.273 0.727 0.034
0.273 0.727 0.466
0.727 0.273 0.534
0.632 0.368 0.651
0.368 0.632 0.349
```

## Properties
Density in g/cm³: 6.68
Formation energy from the elements in eV per atom: -0.606
Symmetry: Cmcm (63)
Energy above the lowest structure with this stoichiometry in meV/atom: 0

***

- Which formula does entry 3 have?
  Tb5CoSb2

***

- formation energy from the elements of number 1 (CaCuP4Ru2O14)?
  -2.195 eV per atom

***

- Among the records above, which one has the lowest density?
  Li10Zn7P8S32